Entry 1:
The following is a PBE calculation of a relaxed Ho2AlOs crystal, from the Materials Project database.

## Properties
The energy of formation is -0.291 eV per atom. The magnetization comes out at 0.00 μB/cell.

a = 4.925 Å, b = 4.925 Å, c = 4.925 Å
α = 60.00°, β = 60.00°, γ = 60.00°
Fractional positions:
Os  0.000  0.000  0.000
Ho  0.250  0.250  0.250
Ho  0.750  0.750  0.750
Al  0.500  0.500  0.500



Entry 2:
The following is a PBE calculation of a relaxed Ho4Al24Pd9 crystal, from the Materials Project database.

## Properties
The energy of formation is -0.710 eV per atom.

a = 7.478 Å, b = 7.557 Å, c = 13.247 Å
α = 84.62°, β = 79.38°, γ = 60.10°
Fractional positions:
Al  0.521  0.833  0.442
Al  0.734  0.163  0.183
Al  0.855  0.042  0.816
Al  0.854  0.167  0.440
Al  0.784  0.835  0.671
Al  0.216  0.165  0.329
Al  0.315  0.166  0.055
Al  0.145  0.958  0.184
Al  0.685  0.834  0.945
Al  0.353  0.500  0.945
Al  0.647  0.500  0.055
Al  0.016  0.167  0.953
Al  0.938  0.369  0.185
Al  0.109  0.160  0.670
Al  0.891  0.840  0.330
Al  0.563  0.494  0.329
Al  0.437  0.506  0.671
Al  0.266  0.837  0.817
Al  0.146  0.833  0.560
Al  0.984  0.833  0.047
Al  0.479  0.167  0.558
Al  0.062  0.631  0.815
Al  0.813  0.501  0.559
Al  0.187  0.499  0.441
Pd  0.539  0.167  0.361
Pd  0.221  0.826  0.363
Pd  0.343  0.829  0.000
Pd  0.779  0.174  0.637
Pd  0.880  0.507  0.362
Pd  0.000  0.500  0.000
Pd  0.657  0.171  0.000
Pd  0.461  0.833  0.639
Pd  0.120  0.493  0.638
Ho  0.734  0.498  0.809
Ho  0.266  0.502  0.191
Ho  0.393  0.169  0.809
Ho  0.607  0.831  0.191



Entry 3:
The following is a PBE calculation of a relaxed PmHoAl2 crystal, from the Materials Project database.

## Properties
The energy of formation is -0.376 eV per atom.

a = 5.142 Å, b = 5.142 Å, c = 5.142 Å
α = 60.00°, β = 60.00°, γ = 60.00°
Fractional positions:
Pm  0.000  0.000  0.000
Al  0.250  0.250  0.250
Al  0.750  0.750  0.750
Ho  0.500  0.500  0.500



Entry 4:
The following is a PBE calculation of a relaxed HoAlPt crystal, from the Materials Project database.

## Properties
The energy of formation is -1.161 eV per atom.

a = 4.421 Å, b = 6.875 Å, c = 7.741 Å
α = 90.00°, β = 90.00°, γ = 90.00°
Fractional positions:
Ho  0.250  0.532  0.820
Ho  0.250  0.032  0.680
Ho  0.750  0.468  0.180
Ho  0.750  0.968  0.320
Al  0.250  0.145  0.063
Al  0.750  0.855  0.937
Al  0.750  0.355  0.563
Al  0.250  0.645  0.437
Pt  0.750  0.726  0.618
Pt  0.750  0.226  0.882
Pt  0.250  0.274  0.382
Pt  0.250  0.774  0.118